[1]
Computed, not measured: a relaxed structure of Na2FeO2 at the PBE+U level of DFT.

Computed properties:
Theoretical density in g/cm3: 3.16
Energy with MP2020 corrections in eV per atom: -5.711
Formation energy in eV per atom: -1.509

Lattice parameters (Å, degrees): 7.9787 6.1263 5.7703 90.00 95.11 90.00
Positions (direct):
Na: 0.0188 0.2444 0.0061
Na: 0.0188 0.2556 0.5061
Na: 0.3319 0.6458 0.9266
Na: 0.3319 0.8542 0.4266
Na: 0.6681 0.1458 0.5734
Na: 0.6681 0.3542 0.0734
Na: 0.9812 0.7444 0.4939
Na: 0.9812 0.7556 0.9939
Fe: 0.3590 0.1179 0.8437
Fe: 0.3590 0.3821 0.3437
Fe: 0.6410 0.6179 0.6563
Fe: 0.6410 0.8821 0.1563
O: 0.1465 0.5312 0.2550
O: 0.1465 0.9688 0.7550
O: 0.4484 0.1193 0.2006
O: 0.4484 0.3807 0.7006
O: 0.5516 0.6193 0.2994
O: 0.5516 0.8807 0.7994
O: 0.8535 0.0312 0.2450
O: 0.8535 0.4688 0.7450

[2]
Computed, not measured: a relaxed structure of Fe3P2PbO14 at the PBE+U level of DFT.

Computed properties:
Theoretical density in g/cm3: 4.40
Energy with MP2020 corrections in eV per atom: -7.012
Formation energy in eV per atom: -1.551

Lattice parameters (Å, degrees): 5.3592 6.9584 7.1522 89.74 88.64 69.20
Positions (direct):
Fe: 0.0000 0.0000 0.0000
Fe: 0.0000 0.0000 0.5000
Fe: 0.0000 0.5000 0.0000
P: 0.4147 0.6584 0.2352
P: 0.5853 0.3416 0.7648
Pb: 0.0000 0.5000 0.5000
O: 0.1130 0.2202 0.0332
O: 0.1235 0.9730 0.7486
O: 0.1864 0.1883 0.4620
O: 0.2523 0.5105 0.2050
O: 0.2771 0.4643 0.7737
O: 0.3354 0.7451 0.4337
O: 0.3571 0.8178 0.0758
O: 0.6429 0.1822 0.9242
O: 0.6646 0.2549 0.5663
O: 0.7229 0.5357 0.2263
O: 0.7477 0.4895 0.7950
O: 0.8136 0.8117 0.5380
O: 0.8765 0.0270 0.2514
O: 0.8870 0.7798 0.9668